# CsTi3P5O19, optimized geometry, DFT PBE
# Energy with MP2020 corrections (eV for the cell shown): -459.71
# Theoretical density (g/cm³): 2.93
# Formation energy from the elements (eV per atom): -3.007
# Uncorrected energy (eV/atom): -7.7429
data_CsTi3P5O19
_space_group_name_H-M_alt 'C 1 m 1'
_space_group_IT_number 8
_cell_length_a 9.448
_cell_length_b 14.329
_cell_length_c 6.402
_cell_angle_alpha 90.00
_cell_angle_beta 105.77
_cell_angle_gamma 90.00
loop_
_space_group_symop_operation_xyz
'x,y,z'
'x,-y,z'
'x+1/2,y+1/2,z'
'x+1/2,-y+1/2,z'
loop_
_atom_site_label
_atom_site_fract_x
_atom_site_fract_y
_atom_site_fract_z
Cs1 0.000 0.000 0.000
Ti1 0.168 0.500 0.319
Ti2 0.270 0.123 0.658
P1 0.072 0.500 0.779
P2 0.366 0.147 0.206
P3 0.402 0.315 0.476
O1 0.013 0.405 0.255
O2 0.062 0.162 0.588
O3 0.172 0.500 0.014
O4 0.175 0.500 0.628
O5 0.219 0.000 0.662
O6 0.265 0.113 0.341
O7 0.282 0.145 0.966
O8 0.321 0.404 0.380
O9 0.328 0.260 0.617
O10 0.404 0.255 0.262
O11 0.477 0.089 0.738